Density functional theory data (GGA-PBE) for Ho3Co after structural relaxation.

Computed properties:
E_form in eV/atom: -0.171

abc: 6.906 9.354 6.195
angles: 90.00 90.00 90.00
Sites, in units of the cell vectors:
Ho  0.042  0.250  0.140
Ho  0.175  0.067  0.676
Ho  0.175  0.433  0.676
Ho  0.325  0.567  0.176
Ho  0.325  0.933  0.176
Ho  0.458  0.750  0.640
Ho  0.542  0.250  0.360
Ho  0.675  0.067  0.824
Ho  0.675  0.433  0.824
Ho  0.825  0.567  0.324
Ho  0.825  0.933  0.324
Ho  0.958  0.750  0.860
Co  0.112  0.750  0.449
Co  0.388  0.250  0.949
Co  0.612  0.750  0.051
Co  0.888  0.250  0.551